NaFeP2O7 | GGA+U | optimized geometry

Summary:
magnetic moment = 20.00 Bohr magnetons per cell
symmetry = P2_1/c
formation energy = -2504 meV per atom
E = -6.88 eV/atom

a b c (Å): 8.040 7.424 9.692
angles (deg): 68.28 90.00 90.00
Element x y z (fractional)
Na: 0.524 0.712 0.291
Na: 0.024 0.288 0.209
Na: 0.976 0.712 0.791
Na: 0.476 0.288 0.709
Fe: 0.991 0.741 0.250
Fe: 0.491 0.259 0.250
Fe: 0.009 0.259 0.750
Fe: 0.509 0.741 0.750
P: 0.788 0.328 0.453
P: 0.755 0.928 0.954
P: 0.245 0.072 0.046
P: 0.745 0.928 0.454
P: 0.712 0.328 0.953
P: 0.212 0.672 0.547
P: 0.255 0.072 0.546
P: 0.288 0.672 0.047
O: 0.892 0.365 0.897
O: 0.392 0.635 0.603
O: 0.108 0.635 0.103
O: 0.608 0.365 0.397
O: 0.700 0.309 0.115
O: 0.200 0.691 0.385
O: 0.300 0.691 0.885
O: 0.800 0.309 0.615
O: 0.587 0.467 0.848
O: 0.087 0.533 0.652
O: 0.413 0.533 0.152
O: 0.913 0.467 0.348
O: 0.636 0.819 0.892
O: 0.136 0.181 0.608
O: 0.364 0.181 0.108
O: 0.864 0.819 0.392
O: 0.846 0.124 0.438
O: 0.346 0.876 0.062
O: 0.154 0.876 0.562
O: 0.654 0.124 0.938
O: 0.714 0.815 0.620
O: 0.214 0.185 0.880
O: 0.286 0.185 0.380
O: 0.786 0.815 0.120
O: 0.585 0.989 0.361
O: 0.085 0.011 0.139
O: 0.415 0.011 0.639
O: 0.915 0.989 0.861